26
Lattice="5.436 0.000 0.000 0.000 5.544 0.000 2.717 2.757 11.702" Properties=species:S:1:pos:R:3 comment="Sr2EuGaCu2O7 (GGA-PBE, optimized geometry)" magmom_total_mub_per_atom=0.4599 final_energy_ev_per_atom=-6.561 density_g_cm3=6.0 e_form_ev_per_atom=-2.3544 pbc="T T T"
Sr 0.000 0.000 0.000
Sr 2.722 2.771 7.117
Sr 5.436 5.334 11.698
Sr 5.441 5.349 7.113
Eu 2.726 2.676 3.558
Eu 5.444 5.448 3.558
Ga 2.525 5.835 9.403
Ga 5.238 2.266 9.410
Cu 2.733 5.457 5.313
Cu 2.730 5.439 1.805
Cu 5.450 2.672 5.305
Cu 5.449 2.681 1.812
O 1.373 1.294 5.146
O 1.365 4.075 5.089
O 2.891 5.197 11.104
O 1.363 1.276 2.037
O 1.372 4.057 1.983
O 2.889 5.208 7.698
O 3.322 7.576 9.408
O 4.090 1.297 5.142
O 4.086 4.058 5.074
O 5.596 2.895 11.118
O 4.082 1.296 2.032
O 4.090 4.057 1.963
O 5.600 2.901 7.709
O 6.045 6.071 9.409